The following is a DFT calculation (PBE+U) of crystalline Li11Co12P12O48 at its relaxed geometry.

## Properties
The calculation puts the calculated volume at 870.7 Å³/cell. The total magnetization is 0.446 μB/atom. The calculation puts the total energy at -549.6 eV/cell.

abc: 7.603 11.235 11.289
angles: 69.24 75.01 83.53
Space group P-1 (No. 2)
Asymmetric unit:
Li 0.000 0.000 0.000 (multiplicity 1)
Li 0.000 0.000 0.500 (multiplicity 1)
Li 0.000 0.500 0.000 (multiplicity 1)
Li 0.327 0.337 0.499 (multiplicity 2)
Li 0.333 0.333 0.000 (multiplicity 2)
Li 0.333 0.833 0.000 (multiplicity 2)
Li 0.334 0.832 0.500 (multiplicity 2)
Co 0.067 0.321 0.774 (multiplicity 2)
Co 0.078 0.332 0.282 (multiplicity 2)
Co 0.252 0.003 0.720 (multiplicity 2)
Co 0.266 0.016 0.221 (multiplicity 2)
Co 0.399 0.650 0.779 (multiplicity 2)
Co 0.413 0.662 0.283 (multiplicity 2)
P 0.004 0.755 0.905 (multiplicity 2)
P 0.057 0.809 0.404 (multiplicity 2)
P 0.274 0.526 0.595 (multiplicity 2)
P 0.329 0.578 0.095 (multiplicity 2)
P 0.338 0.089 0.905 (multiplicity 2)
P 0.392 0.142 0.405 (multiplicity 2)
O 0.007 0.050 0.667 (multiplicity 2)
O 0.052 0.292 0.603 (multiplicity 2)
O 0.052 0.803 0.545 (multiplicity 2)
O 0.071 0.524 0.673 (multiplicity 2)
O 0.083 0.333 0.954 (multiplicity 2)
O 0.114 0.863 0.902 (multiplicity 2)
O 0.120 0.664 0.833 (multiplicity 2)
O 0.155 0.199 0.167 (multiplicity 2)
O 0.178 0.135 0.834 (multiplicity 2)
O 0.215 0.670 0.167 (multiplicity 2)
O 0.220 0.470 0.098 (multiplicity 2)
O 0.252 0.001 0.045 (multiplicity 2)
O 0.266 0.809 0.333 (multiplicity 2)
O 0.286 0.035 0.402 (multiplicity 2)
O 0.290 0.532 0.453 (multiplicity 2)
O 0.324 0.280 0.332 (multiplicity 2)
O 0.341 0.386 0.667 (multiplicity 2)
O 0.381 0.632 0.599 (multiplicity 2)
O 0.386 0.136 0.545 (multiplicity 2)
O 0.401 0.857 0.667 (multiplicity 2)
O 0.417 0.666 0.955 (multiplicity 2)
O 0.447 0.197 0.901 (multiplicity 2)
O 0.453 0.998 0.833 (multiplicity 2)
O 0.488 0.531 0.168 (multiplicity 2)